Computed, not measured: crystalline MgFe2P2O10 at its relaxed geometry at the PBE with a Hubbard U level of DFT.

The structure in POSCAR format:
```
MgFe2P2O10
1.0
6.939 -5.881 4.009
7.208 0.610 5.281
-1.698 -3.802 5.146
P O Fe Mg
4 20 4 2
direct
0.042 0.042 0.458 P
0.458 0.458 0.042 P
0.792 0.792 0.208 P
0.208 0.208 0.792 P
0.063 0.911 0.659 O
0.338 0.963 0.693 O
0.911 0.063 0.367 O
0.421 0.421 0.579 O
0.912 0.287 0.557 O
0.659 0.367 0.063 O
0.883 0.591 0.339 O
0.006 0.693 0.963 O
0.244 0.557 0.287 O
0.671 0.671 0.829 O
0.579 0.579 0.421 O
0.339 0.187 0.883 O
0.963 0.338 0.006 O
0.287 0.912 0.244 O
0.693 0.006 0.338 O
0.829 0.829 0.671 O
0.187 0.339 0.591 O
0.367 0.659 0.911 O
0.591 0.883 0.187 O
0.557 0.244 0.912 O
0.625 0.125 0.625 Fe
0.625 0.625 0.625 Fe
0.625 0.625 0.125 Fe
0.125 0.625 0.625 Fe
0.250 0.250 0.250 Mg
0.000 0.000 0.000 Mg
```

Summary:
DFT formation energy in meV/atom: -2152.5
Crystal system: orthorhombic

---

Computed, not measured: crystalline K2MgFe4P6O16F12 at its relaxed geometry at the PBE with a Hubbard U level of DFT.

The structure in POSCAR format:
```
K2MgFe4P6O16F12
1.0
7.240 0.082 -2.470
-0.571 7.582 -1.445
0.245 0.128 10.814
F O P K Fe Mg
12 16 6 2 4 1
direct
0.093 0.553 0.215 F
0.506 0.795 0.399 F
0.812 0.205 0.464 F
0.494 0.205 0.601 F
0.188 0.795 0.536 F
0.040 0.255 0.103 F
0.486 0.581 0.824 F
0.907 0.447 0.785 F
0.960 0.745 0.897 F
0.193 0.045 0.921 F
0.807 0.955 0.079 F
0.514 0.419 0.176 F
0.556 0.777 0.094 O
0.118 0.643 0.729 O
0.430 0.274 0.376 O
0.188 0.120 0.435 O
0.882 0.357 0.271 O
0.861 0.856 0.298 O
0.392 0.922 0.796 O
0.285 0.441 0.543 O
0.444 0.223 0.906 O
0.608 0.078 0.204 O
0.570 0.726 0.624 O
0.715 0.559 0.457 O
0.812 0.880 0.565 O
0.790 0.458 0.042 O
0.210 0.542 0.958 O
0.139 0.144 0.702 O
0.930 0.408 0.158 P
0.710 0.907 0.191 P
0.662 0.734 0.519 P
0.070 0.592 0.842 P
0.338 0.266 0.481 P
0.290 0.093 0.809 P
0.789 0.111 0.772 K
0.211 0.889 0.228 K
0.000 0.000 0.500 Fe
0.660 0.333 0.338 Fe
0.500 0.500 0.000 Fe
0.340 0.667 0.662 Fe
0.500 0.000 0.000 Mg
```

Summary:
DFT formation energy in meV/atom: -2644.1
Energy relative to the lowest polymorph listed for this composition in eV per formula unit: 3.29
Crystal system: triclinic

---

Computed, not measured: crystalline Mn2O3F at its relaxed geometry at the PBE with a Hubbard U level of DFT.

The structure in POSCAR format:
```
Mn2O3F
1.0
-2.981 3.143 3.289
2.981 -3.143 3.289
2.981 3.143 -3.289
F O Mn
2 6 4
direct
0.771 0.021 0.750 F
0.229 0.979 0.250 F
0.189 0.439 0.750 O
0.693 0.500 0.693 O
0.307 0.000 0.807 O
0.307 0.500 0.307 O
0.811 0.561 0.250 O
0.693 0.000 0.193 O
0.474 0.724 0.750 Mn
0.526 0.276 0.250 Mn
0.000 0.000 0.500 Mn
0.000 0.500 0.000 Mn
```

Summary:
DFT formation energy in meV/atom: -2041.0
Energy relative to the lowest polymorph listed for this composition in eV per formula unit: 0.00
Crystal system: orthorhombic

---

Computed, not measured: crystalline Na2DyPWO8 at its relaxed geometry at the PBE with a Hubbard U level of DFT.

The structure in POSCAR format:
```
Na2DyPWO8
1.0
-3.482 6.132 9.130
3.482 -6.132 9.130
3.482 6.132 -9.130
Dy O Na W P
4 32 8 4 4
direct
0.177 0.750 0.927 Dy
0.323 0.250 0.573 Dy
0.677 0.750 0.427 Dy
0.823 0.250 0.073 Dy
0.604 0.669 0.514 O
0.656 0.090 0.986 O
0.562 0.333 0.759 O
0.603 0.190 0.326 O
0.864 0.690 0.087 O
0.397 0.810 0.674 O
0.136 0.310 0.913 O
0.860 0.932 0.775 O
0.360 0.584 0.927 O
0.657 0.084 0.725 O
0.364 0.277 0.174 O
0.844 0.831 0.434 O
0.103 0.777 0.413 O
0.640 0.416 0.073 O
0.938 0.697 0.771 O
0.344 0.910 0.014 O
0.157 0.432 0.573 O
0.896 0.410 0.066 O
0.573 0.833 0.271 O
0.438 0.667 0.241 O
0.636 0.723 0.826 O
0.427 0.167 0.729 O
0.396 0.331 0.486 O
0.897 0.223 0.587 O
0.843 0.568 0.427 O
0.343 0.916 0.275 O
0.927 0.197 0.259 O
0.104 0.590 0.934 O
0.140 0.068 0.225 O
0.073 0.803 0.741 O
0.156 0.169 0.566 O
0.062 0.303 0.229 O
0.712 0.164 0.569 Na
0.788 0.358 0.452 Na
0.094 0.142 0.931 Na
0.288 0.836 0.431 Na
0.906 0.858 0.069 Na
0.594 0.664 0.952 Na
0.406 0.336 0.048 Na
0.212 0.642 0.548 Na
0.072 0.322 0.750 W
0.928 0.678 0.250 W
0.572 0.822 0.750 W
0.428 0.178 0.250 W
0.930 0.750 0.680 P
0.070 0.250 0.320 P
0.430 0.750 0.180 P
0.570 0.250 0.820 P
```

Summary:
DFT formation energy in meV/atom: -2806.0
Crystal system: orthorhombic

---

Computed, not measured: crystalline Sr2NdSmMn4O12 at its relaxed geometry at the PBE with a Hubbard U level of DFT.

The structure in POSCAR format:
```
Sr2NdSmMn4O12
1.0
-2.146 -4.803 -1.645
5.050 -2.171 -0.407
-0.384 -2.432 7.399
O Sr Nd Mn Sm
12 2 1 4 1
direct
0.471 0.471 0.722 O
0.971 0.971 0.220 O
0.779 0.202 0.500 O
0.039 0.460 0.238 O
0.460 0.039 0.238 O
0.541 0.541 0.290 O
0.043 0.043 0.794 O
0.539 0.961 0.741 O
0.697 0.280 0.000 O
0.280 0.697 0.000 O
0.961 0.539 0.741 O
0.202 0.779 0.500 O
0.250 0.250 0.500 Sr
0.749 0.749 0.000 Sr
0.756 0.756 0.507 Nd
0.251 0.751 0.751 Mn
0.250 0.751 0.250 Mn
0.751 0.250 0.250 Mn
0.751 0.251 0.751 Mn
0.260 0.260 0.008 Sm
```

Summary:
DFT formation energy in meV/atom: -2732.2
Crystal system: monoclinic

---

Computed, not measured: crystalline PrEuZrVO6 at its relaxed geometry at the PBE with a Hubbard U level of DFT.

The structure in POSCAR format:
```
PrEuZrVO6
1.0
3.672 -3.194 -3.051
-1.972 -4.209 -3.374
0.227 0.554 -5.712
Eu O Pr Zr V
1 6 1 1 1
direct
0.750 0.750 0.750 Eu
0.745 0.255 0.255 O
0.255 0.745 0.745 O
0.255 0.745 0.255 O
0.745 0.255 0.745 O
0.255 0.255 0.745 O
0.745 0.745 0.255 O
0.250 0.250 0.250 Pr
0.000 0.000 0.000 Zr
0.500 0.500 0.500 V
```

Summary:
DFT formation energy in meV/atom: -3235.7
Crystal system: cubic

---

Computed, not measured: crystalline Ti7Fe9O24 at its relaxed geometry at the PBE with a Hubbard U level of DFT.

The structure in POSCAR format:
```
Ti7Fe9O24
1.0
-7.570 0.000 0.000
-0.572 -7.592 0.000
3.493 3.239 7.573
Ti O Fe
7 24 9
direct
0.968 0.470 0.650 Ti
0.220 0.220 0.143 Ti
0.714 0.715 0.143 Ti
0.280 0.280 0.852 Ti
0.031 0.531 0.354 Ti
0.777 0.782 0.852 Ti
0.532 0.029 0.359 Ti
0.299 0.432 0.082 O
0.199 0.064 0.916 O
0.810 0.937 0.093 O
0.033 0.701 0.889 O
0.790 0.959 0.390 O
0.465 0.797 0.107 O
0.281 0.458 0.393 O
0.730 0.535 0.243 O
0.024 0.724 0.262 O
0.975 0.287 0.744 O
0.518 0.213 0.258 O
0.272 0.462 0.757 O
0.533 0.204 0.896 O
0.219 0.041 0.250 O
0.719 0.545 0.606 O
0.700 0.564 0.918 O
0.551 0.190 0.585 O
0.049 0.679 0.581 O
0.202 0.049 0.597 O
0.954 0.302 0.411 O
0.968 0.299 0.107 O
0.455 0.812 0.407 O
0.483 0.782 0.748 O
0.779 0.963 0.759 O
0.779 0.279 0.853 Fe
0.284 0.781 0.851 Fe
0.469 0.471 0.645 Fe
0.474 0.972 0.647 Fe
0.970 0.967 0.647 Fe
0.033 0.033 0.357 Fe
0.218 0.716 0.145 Fe
0.716 0.218 0.147 Fe
0.528 0.534 0.355 Fe
```

Summary:
DFT formation energy in meV/atom: -2579.4
Energy relative to the lowest polymorph listed for this composition in eV per formula unit: 0.00
Crystal system: triclinic

---

Computed, not measured: crystalline K2LiMn2O4 at its relaxed geometry at the PBE with a Hubbard U level of DFT.

The structure in POSCAR format:
```
K2LiMn2O4
1.0
0.289 6.498 0.176
-0.191 0.196 6.570
6.503 0.104 -0.177
O Li K Mn
8 2 4 4
direct
0.666 0.257 0.291 O
0.690 0.555 0.884 O
0.291 0.243 0.666 O
0.310 0.445 0.116 O
0.884 0.945 0.690 O
0.116 0.055 0.310 O
0.334 0.743 0.709 O
0.709 0.757 0.334 O
0.645 0.750 0.645 Li
0.355 0.250 0.355 Li
0.500 0.000 0.000 K
0.000 0.500 0.500 K
0.021 0.750 0.021 K
0.979 0.250 0.979 K
0.418 0.467 0.811 Mn
0.582 0.533 0.189 Mn
0.189 0.967 0.582 Mn
0.811 0.033 0.418 Mn
```

Summary:
DFT formation energy in meV/atom: -1805.5
Energy relative to the lowest polymorph listed for this composition in eV per formula unit: 0.01
Crystal system: monoclinic

---

Computed, not measured: crystalline LiMn6O4F8 at its relaxed geometry at the PBE with a Hubbard U level of DFT.

The structure in POSCAR format:
```
LiMn6O4F8
1.0
-5.008 -0.056 -0.035
0.006 4.873 -6.316
-0.077 -4.956 -3.221
F O Li Mn
8 4 1 6
direct
0.697 0.102 0.827 F
0.814 0.435 0.639 F
0.173 0.576 0.320 F
0.321 0.913 0.203 F
0.172 0.248 0.040 F
0.816 0.101 0.332 F
0.200 0.910 0.704 F
0.284 0.554 0.818 F
0.654 0.439 0.102 O
0.349 0.224 0.568 O
0.819 0.745 0.974 O
0.668 0.789 0.464 O
0.000 0.523 0.021 Li
0.547 0.671 0.174 Mn
0.506 0.003 0.515 Mn
0.959 0.693 0.640 Mn
0.501 0.333 0.838 Mn
0.986 0.984 0.021 Mn
0.061 0.316 0.383 Mn
```

Summary:
DFT formation energy in meV/atom: -2525.7
Energy relative to the lowest polymorph listed for this composition in eV per formula unit: 0.09
Crystal system: triclinic

---

Computed, not measured: crystalline SrNi3P4O14 at its relaxed geometry at the PBE with a Hubbard U level of DFT.

The structure in POSCAR format:
```
SrNi3P4O14
1.0
-5.045 4.087 -4.264
-4.125 -6.184 -1.047
-6.633 -1.115 6.779
O P Ni Sr
28 8 6 2
direct
0.875 0.844 0.889 O
0.425 0.026 0.112 O
0.519 0.600 0.193 O
0.075 0.026 0.612 O
0.128 0.318 0.677 O
0.710 0.999 0.635 O
0.625 0.844 0.389 O
0.019 0.400 0.307 O
0.125 0.156 0.111 O
0.681 0.375 0.084 O
0.925 0.974 0.388 O
0.872 0.682 0.323 O
0.884 0.269 0.866 O
0.481 0.400 0.807 O
0.981 0.600 0.693 O
0.181 0.625 0.416 O
0.372 0.318 0.177 O
0.616 0.269 0.366 O
0.575 0.974 0.888 O
0.790 0.999 0.135 O
0.819 0.375 0.584 O
0.375 0.156 0.611 O
0.384 0.731 0.634 O
0.628 0.682 0.823 O
0.116 0.731 0.134 O
0.210 0.001 0.865 O
0.319 0.625 0.916 O
0.290 0.001 0.365 O
0.558 0.396 0.201 P
0.703 0.889 0.807 P
0.797 0.889 0.307 P
0.203 0.111 0.693 P
0.942 0.396 0.701 P
0.297 0.111 0.193 P
0.442 0.604 0.799 P
0.058 0.604 0.299 P
0.374 0.816 0.025 Ni
0.500 0.000 0.500 Ni
0.126 0.816 0.525 Ni
0.626 0.184 0.975 Ni
0.000 0.000 0.000 Ni
0.874 0.184 0.475 Ni
0.000 0.500 0.000 Sr
0.500 0.500 0.500 Sr
```

Summary:
DFT formation energy in meV/atom: -2498.9
Crystal system: monoclinic

---

Computed, not measured: crystalline CaW2O4 at its relaxed geometry at the PBE with a Hubbard U level of DFT.

The structure in POSCAR format:
```
CaW2O4
1.0
5.686 0.000 0.000
0.000 6.569 0.000
0.000 0.000 11.166
O W Ca
16 8 4
direct
0.835 0.243 0.147 O
0.165 0.257 0.353 O
0.165 0.743 0.353 O
0.644 0.000 0.353 O
0.835 0.757 0.853 O
0.165 0.743 0.647 O
0.835 0.243 0.853 O
0.308 0.000 0.161 O
0.165 0.257 0.647 O
0.835 0.757 0.147 O
0.644 0.000 0.647 O
0.356 0.500 0.853 O
0.356 0.500 0.147 O
0.692 0.500 0.339 O
0.692 0.500 0.661 O
0.308 0.000 0.839 O
0.012 0.500 0.766 W
0.500 0.250 0.250 W
0.500 0.750 0.750 W
0.500 0.250 0.750 W
0.012 0.500 0.234 W
0.988 0.000 0.734 W
0.500 0.750 0.250 W
0.988 0.000 0.266 W
0.966 0.500 0.500 Ca
0.646 0.500 0.000 Ca
0.034 0.000 0.000 Ca
0.354 0.000 0.500 Ca
```

Summary:
DFT formation energy in meV/atom: -2026.9
Energy relative to the lowest polymorph listed for this composition in eV per formula unit: 0.31
Crystal system: orthorhombic

---

Computed, not measured: crystalline LaNdCo2O6 at its relaxed geometry at the PBE with a Hubbard U level of DFT.

The structure in POSCAR format:
```
LaNdCo2O6
1.0
5.460 0.000 0.000
0.000 5.496 0.000
0.000 0.000 7.789
O Nd La Co
12 2 2 4
direct
0.179 0.987 0.000 O
0.821 0.487 0.000 O
0.311 0.009 0.500 O
0.040 0.710 0.719 O
0.960 0.210 0.281 O
0.536 0.786 0.789 O
0.689 0.509 0.500 O
0.464 0.286 0.789 O
0.960 0.210 0.719 O
0.536 0.786 0.211 O
0.040 0.710 0.281 O
0.464 0.286 0.211 O
0.743 0.039 0.000 Nd
0.257 0.539 0.000 Nd
0.754 0.972 0.500 La
0.246 0.472 0.500 La
0.751 0.500 0.248 Co
0.249 0.000 0.752 Co
0.249 0.000 0.248 Co
0.751 0.500 0.752 Co
```

Summary:
DFT formation energy in meV/atom: -2572.5
Crystal system: orthorhombic